The following is a DFT calculation (r2SCAN) of a geometry-optimized K2CoO2 structure.

Values from the calculation:
**DFT total energy**: -8.758 eV/atom
**Space-group type**: No. 4
**Mass density**: 3.0 g/cm3

a = 6.350 Å, b = 6.872 Å, c = 9.517 Å
α = 90.00°, β = 89.99°, γ = 116.60°
Fractional positions:
Co: 0.307 0.416 0.069
Co: 0.693 0.084 0.569
Co: 0.309 0.925 0.431
Co: 0.691 0.575 0.931
K: 0.784 0.601 0.587
K: 0.216 0.899 0.087
K: 0.251 0.143 0.736
K: 0.749 0.856 0.264
K: 0.213 0.405 0.413
K: 0.787 0.095 0.913
K: 0.251 0.644 0.764
K: 0.749 0.357 0.236
O: 0.938 0.782 0.852
O: 0.491 0.203 0.483
O: 0.058 0.219 0.151
O: 0.496 0.693 0.014
O: 0.504 0.807 0.514
O: 0.509 0.297 0.983
O: 0.062 0.718 0.352
O: 0.942 0.281 0.651